Entry 1:
This record from Materials Project describes a geometry-optimized Li5B7S13 structure. The functional is r2SCAN.

Raw total energy ... -756.03 eV for the cell shown
V ... 416.5 Å³/f.u.
Space-group type ... Cc (9)
Energy of formation from the pure elements ... -848 meV per atom

Cell: 14.0001 14.0001 12.3249 Å, 116.08 116.08 103.02°
Last column: nearest neighbours and their distance in Å.
Sites, in units of the cell vectors:
Li: 0.0037 0.9963 0.0000  3 S 2.51-2.55, 1 B 2.66
Li: 0.0110 0.2819 0.2739  4 S 2.46-2.71
Li: 0.0314 0.5360 0.1012  4 S 2.50-2.70, 1 B 2.61
Li: 0.0993 0.6708 0.4513  3 S 2.42-2.48
Li: 0.2061 0.4257 0.9388  4 S 2.47-2.65
Li: 0.2111 0.2833 0.1438  3 S 2.44-2.48
Li: 0.2819 0.0110 0.7739  4 S 2.46-2.71
Li: 0.2833 0.2111 0.6438  3 S 2.44-2.48
Li: 0.3048 0.8686 0.1419  4 S 2.52-2.68
Li: 0.4257 0.2061 0.4388  4 S 2.47-2.65
Li: 0.5360 0.0314 0.6012  4 S 2.50-2.70, 1 B 2.61
Li: 0.5363 0.7616 0.6107  4 S 2.47-2.70
Li: 0.6679 0.9513 0.2713  4 S 2.47-2.64
Li: 0.6708 0.0993 0.9513  3 S 2.42-2.48
Li: 0.7037 0.7668 0.4286  4 S 2.52-2.66
Li: 0.7616 0.5363 0.1107  4 S 2.47-2.70
Li: 0.7668 0.7037 0.9286  4 S 2.52-2.66
Li: 0.8686 0.3048 0.6419  4 S 2.52-2.68
Li: 0.9513 0.6679 0.7713  4 S 2.47-2.64
Li: 0.9963 0.0037 0.5000  3 S 2.51-2.55, 1 B 2.66
B: 0.0739 0.7289 0.1049  4 S 1.91-1.95
B: 0.1487 0.9990 0.2888  4 S 1.91-1.94
B: 0.1557 0.6022 0.8975  4 S 1.91-1.93
B: 0.1895 0.4388 0.6691  4 S 1.90-1.94
B: 0.2361 0.2905 0.4535  4 S 1.92-1.93
B: 0.2411 0.8925 0.4522  4 S 1.91-1.94
B: 0.2608 0.7121 0.7851  4 S 1.88-1.94
B: 0.2905 0.2361 0.9535  4 S 1.92-1.93
B: 0.2996 0.5534 0.5534  4 S 1.90-1.94
B: 0.3678 0.8156 0.6672  4 S 1.92-1.93
B: 0.4172 0.6673 0.0098  4 S 1.90-1.94
B: 0.4388 0.1895 0.1691  4 S 1.90-1.94
B: 0.4601 0.5092 0.7801  4 S 1.88-1.94
B: 0.5092 0.4601 0.2801  4 S 1.88-1.94
B: 0.5308 0.7786 0.8935  4 S 1.90-1.94
B: 0.5534 0.2996 0.0534  4 S 1.90-1.94
B: 0.6022 0.1557 0.3975  4 S 1.91-1.93
B: 0.6673 0.4172 0.5098  4 S 1.90-1.94
B: 0.6795 0.7319 0.1084  4 S 1.92-1.94
B: 0.7121 0.2608 0.2851  4 S 1.88-1.94
B: 0.7289 0.0739 0.6049  4 S 1.91-1.95
B: 0.7319 0.6795 0.6084  4 S 1.92-1.94
B: 0.7786 0.5308 0.3935  4 S 1.90-1.94
B: 0.8150 0.9692 0.7725  4 S 1.91-1.95
B: 0.8156 0.3678 0.1672  4 S 1.92-1.93
B: 0.8925 0.2411 0.9522  4 S 1.91-1.94
B: 0.9692 0.8150 0.2725  4 S 1.91-1.95
B: 0.9990 0.1487 0.7888  4 S 1.91-1.94
S: 0.0050 0.9591 0.2814  2 B 1.91
S: 0.0272 0.5804 0.9223  2 B 1.93-1.95
S: 0.0425 0.2928 0.9695  2 B 1.92-1.94
S: 0.0850 0.4335 0.7282  2 B 1.90-1.93
S: 0.1036 0.8518 0.4584  2 B 1.93-1.95
S: 0.1117 0.8677 0.1012  2 B 1.92-1.94
S: 0.1229 0.2733 0.5023  2 B 1.90-1.93
S: 0.1358 0.1869 0.7786  2 B 1.93-1.94
S: 0.1617 0.7150 0.8493  2 B 1.88-1.91
S: 0.1869 0.1358 0.2786  2 B 1.93-1.94
S: 0.1891 0.5450 0.6078  3 B 1.94
S: 0.2112 0.7584 0.2769  2 B 1.91
S: 0.2334 0.3893 0.3835  2 B 1.90-1.92
S: 0.2616 0.8149 0.7259  2 B 1.88-1.92
S: 0.2733 0.1229 0.0023  2 B 1.90-1.93
S: 0.2928 0.0425 0.4695  2 B 1.92-1.94
S: 0.3001 0.6531 0.4872  2 B 1.90-1.93
S: 0.3170 0.6643 0.0750  2 B 1.90-1.93
S: 0.3470 0.3997 0.1180  2 B 1.88-1.92
S: 0.3545 0.5000 0.8418  3 B 1.94
S: 0.3877 0.9413 0.6378  2 B 1.93-1.94
S: 0.3893 0.2334 0.8835  2 B 1.90-1.92
S: 0.3997 0.3470 0.6180  2 B 1.88-1.92
S: 0.4273 0.7802 0.9583  3 B 1.93-1.94
S: 0.4335 0.0850 0.2282  2 B 1.90-1.93
S: 0.4678 0.6146 0.7187  3 B 1.94
S: 0.5000 0.3545 0.3418  3 B 1.94
S: 0.5364 0.8818 0.8320  2 B 1.91-1.92
S: 0.5450 0.1891 0.1078  3 B 1.94
S: 0.5700 0.6230 0.4408  2 B 1.88-1.92
S: 0.5804 0.0272 0.4223  2 B 1.93-1.95
S: 0.5810 0.7325 0.1787  2 B 1.90-1.92
S: 0.6146 0.4678 0.2187  3 B 1.94
S: 0.6230 0.5700 0.9408  2 B 1.88-1.92
S: 0.6531 0.3001 0.9872  2 B 1.90-1.93
S: 0.6643 0.3170 0.5750  2 B 1.90-1.93
S: 0.6732 0.9249 0.5896  2 B 1.92-1.95
S: 0.6963 0.8465 0.0610  2 B 1.90-1.94
S: 0.7150 0.1617 0.3493  2 B 1.88-1.91
S: 0.7325 0.5810 0.6787  2 B 1.90-1.92
S: 0.7584 0.2112 0.7769  2 B 1.91
S: 0.7783 0.8325 0.7835  2 B 1.93-1.95
S: 0.7802 0.4273 0.4583  3 B 1.93-1.94
S: 0.8149 0.2616 0.2259  2 B 1.88-1.92
S: 0.8325 0.7783 0.2835  2 B 1.93-1.95
S: 0.8465 0.6963 0.5610  2 B 1.90-1.94
S: 0.8518 0.1036 0.9584  2 B 1.93-1.95
S: 0.8677 0.1117 0.6012  2 B 1.92-1.94
S: 0.8818 0.5364 0.3320  2 B 1.91-1.92
S: 0.9249 0.6732 0.0896  2 B 1.92-1.95
S: 0.9413 0.3877 0.1378  2 B 1.93-1.94
S: 0.9591 0.0050 0.7814  2 B 1.91

***

Entry 2:
This record from Materials Project describes a geometry-optimized NdTlPd structure. The functional is r2SCAN.

Raw total energy ... -323.18 eV for the cell shown
V ... 70.7 Å³/f.u.
Space-group type ... P-62m (189)
Energy of formation from the pure elements ... -723 meV per atom

Cell: 7.9324 7.9324 3.8933 Å, 90.00 90.00 120.00°
Last column: nearest neighbours and their distance in Å.
Sites, in units of the cell vectors:
Nd: 0.0000 0.5971 0.0000  5 Pd 3.10-3.20, 6 Tl 3.28-3.42
Nd: 0.4029 0.4029 0.0000  5 Pd 3.10-3.20, 6 Tl 3.28-3.42
Nd: 0.5971 0.0000 0.0000  5 Pd 3.10-3.20, 6 Tl 3.28-3.42
Tl: 0.0000 0.2641 0.5000  4 Pd 2.86-2.96
Tl: 0.2641 0.0000 0.5000  4 Pd 2.86-2.96
Tl: 0.7359 0.7359 0.5000  4 Pd 2.86-2.96
Pd: 0.0000 0.0000 0.0000  6 Tl 2.86, 3 Nd 3.20
Pd: 0.3333 0.6667 0.5000  3 Tl 2.96, 6 Nd 3.10
Pd: 0.6667 0.3333 0.5000  3 Tl 2.96, 6 Nd 3.10

***

Entry 3:
This record from Materials Project describes a geometry-optimized CdAu structure. The functional is r2SCAN.

Raw total energy ... -70.95 eV for the cell shown
V ... 38.1 Å³/f.u.
Space-group type ... P-6m2 (187)
Energy of formation from the pure elements ... -129 meV per atom

Cell: 3.0903 3.0903 4.6013 Å, 90.00 90.00 120.00°
Last column: nearest neighbours and their distance in Å.
Sites, in units of the cell vectors:
Cd: 0.0000 0.0000 0.0000  6 Au 2.91, 6 Cd 3.09
Au: 0.3333 0.6667 0.5000  6 Cd 2.91, 6 Au 3.09